# Li4Ni5O10, relaxed, DFT GGA+U
# ΔE_f	-1.38	eV/atom
# calculated volume	9.00	A^3/atom
# distance to the lowest polymorph of the same formula	0	meV per atom
# total DFT energy (no corrections)	-4.88	eV per atom
data_Li4Ni5O10
_symmetry_space_group_name_H-M 'P 1'
_symmetry_Int_Tables_number 1
_cell_length_a 5.070
_cell_length_b 5.822
_cell_length_c 6.424
_cell_angle_alpha 104.83
_cell_angle_beta 96.75
_cell_angle_gamma 107.47
loop_
_symmetry_equiv_pos_as_xyz
'x,y,z'
loop_
_atom_site_label
_atom_site_type_symbol
_atom_site_fract_x
_atom_site_fract_y
_atom_site_fract_z
Li1 Li 0.599 0.193 0.190
Li2 Li 0.401 0.807 0.810
Li3 Li 0.196 0.388 0.391
Li4 Li 0.804 0.612 0.609
Ni1 Ni 0.605 0.703 0.202
Ni2 Ni 0.203 0.903 0.399
Ni3 Ni 0.395 0.297 0.798
Ni4 Ni 0.000 0.500 0.000
Ni5 Ni 0.797 0.097 0.601
O1 O 0.667 0.626 0.909
O2 O 0.480 0.239 0.514
O3 O 0.674 0.163 0.873
O4 O 0.520 0.761 0.486
O5 O 0.333 0.374 0.091
O6 O 0.326 0.837 0.127
O7 O 0.104 0.419 0.701
O8 O 0.875 0.034 0.317
O9 O 0.125 0.966 0.683
O10 O 0.896 0.581 0.299



# CeFeO3, relaxed, DFT GGA+U
# ΔE_f	-2.87	eV/atom
# calculated volume	12.30	A^3/atom
# total DFT energy (no corrections)	-7.86	eV per atom
# spin magnetization	4.0	μB per formula unit
data_CeFeO3
_symmetry_space_group_name_H-M 'P 1'
_symmetry_Int_Tables_number 1
_cell_length_a 5.467
_cell_length_b 5.784
_cell_length_c 7.777
_cell_angle_alpha 90.00
_cell_angle_beta 90.00
_cell_angle_gamma 90.00
loop_
_symmetry_equiv_pos_as_xyz
'x,y,z'
loop_
_atom_site_label
_atom_site_type_symbol
_atom_site_fract_x
_atom_site_fract_y
_atom_site_fract_z
Ce1 Ce 0.025 0.416 0.750
Ce2 Ce 0.475 0.916 0.750
Ce3 Ce 0.525 0.084 0.250
Ce4 Ce 0.975 0.584 0.250
Fe1 Fe 0.000 0.000 0.000
Fe2 Fe 0.000 0.000 0.500
Fe3 Fe 0.500 0.500 0.000
Fe4 Fe 0.500 0.500 0.500
O1 O 0.136 0.953 0.250
O2 O 0.182 0.681 0.568
O3 O 0.182 0.681 0.932
O4 O 0.318 0.181 0.568
O5 O 0.318 0.181 0.932
O6 O 0.364 0.453 0.250
O7 O 0.636 0.547 0.750
O8 O 0.682 0.819 0.068
O9 O 0.682 0.819 0.432
O10 O 0.818 0.319 0.068
O11 O 0.818 0.319 0.432
O12 O 0.864 0.047 0.750



# Li10Fe5Co3O16, relaxed, DFT GGA+U
# ΔE_f	-1.73	eV/atom
# calculated volume	8.62	A^3/atom
# distance to the lowest polymorph of the same formula	62	meV per atom
# total DFT energy (no corrections)	-5.69	eV per atom
# spin magnetization	25.7	μB per formula unit
data_Li10Fe5Co3O16
_symmetry_space_group_name_H-M 'P 1'
_symmetry_Int_Tables_number 1
_cell_length_a 5.899
_cell_length_b 5.899
_cell_length_c 9.729
_cell_angle_alpha 89.96
_cell_angle_beta 89.96
_cell_angle_gamma 59.91
loop_
_symmetry_equiv_pos_as_xyz
'x,y,z'
loop_
_atom_site_label
_atom_site_type_symbol
_atom_site_fract_x
_atom_site_fract_y
_atom_site_fract_z
Li1 Li 0.384 0.806 0.945
Li2 Li 0.806 0.384 0.945
Li3 Li 0.803 0.803 0.946
Li4 Li 0.669 0.669 0.724
Li5 Li 0.002 0.002 0.022
Li6 Li 0.004 0.004 0.515
Li7 Li 0.194 0.194 0.447
Li8 Li 0.610 0.186 0.443
Li9 Li 0.330 0.330 0.224
Li10 Li 0.186 0.610 0.443
Fe1 Fe 0.663 0.663 0.471
Fe2 Fe 0.336 0.336 0.974
Fe3 Fe 0.825 0.825 0.216
Fe4 Fe 0.168 0.665 0.716
Fe5 Fe 0.665 0.168 0.716
Co1 Co 0.335 0.831 0.211
Co2 Co 0.171 0.171 0.712
Co3 Co 0.831 0.335 0.211
O1 O 0.332 0.846 0.592
O2 O 0.510 0.510 0.328
O3 O 0.658 0.658 0.101
O4 O 0.497 0.980 0.333
O5 O 0.846 0.332 0.592
O6 O 0.011 0.011 0.828
O7 O 0.006 0.006 0.319
O8 O 0.980 0.497 0.333
O9 O 0.164 0.164 0.100
O10 O 0.838 0.838 0.584
O11 O 0.016 0.488 0.835
O12 O 0.488 0.016 0.835
O13 O 0.330 0.330 0.592
O14 O 0.170 0.671 0.095
O15 O 0.495 0.495 0.839
O16 O 0.671 0.170 0.095